Record 1
Si2TeH18C6: relaxed, PBE.

Cell and atoms, written as extended XYZ:
```
54
Lattice="-5.017 -6.062 0.000 -5.017 6.062 0.000 2.824 0.000 -12.164" Properties=species:S:1:pos:R:3 pbc="T T T"
Si -0.941 -1.393 -9.638
Si -4.857 -1.393 -8.608
Si -6.269 1.393 -2.526
Si -2.353 1.393 -3.556
Te -2.899 0.171 -9.123
Te -4.311 -0.171 -3.041
H -0.967 -2.626 -7.473
H -4.832 -2.626 -10.773
H -6.244 2.626 -4.691
H -2.379 2.626 -1.391
H -4.370 3.360 -8.223
H -1.428 3.360 -10.023
H -2.840 -3.360 -3.941
H -5.782 -3.360 -2.141
H 0.109 -1.215 -7.391
H -5.908 -1.215 -10.854
H -7.320 1.215 -4.773
H -1.303 1.215 -1.309
H -2.265 -3.404 -10.272
H -3.534 -3.404 -7.973
H -4.946 3.404 -1.892
H -3.677 3.404 -4.190
H -1.867 -2.421 -11.702
H -3.931 -2.421 -6.544
H -5.343 2.421 -0.462
H -3.279 2.421 -5.620
H -0.632 -3.483 -10.971
H -5.167 -3.483 -7.274
H -6.579 3.483 -1.193
H -2.044 3.483 -4.889
H 1.193 -0.938 -10.765
H -6.992 -0.938 -7.480
H -8.404 0.938 -1.398
H -0.219 0.938 -4.684
H -0.075 0.109 -11.450
H -5.723 0.109 -6.795
H -7.135 -0.109 -0.714
H -1.487 -0.109 -5.368
H 0.669 0.512 -9.878
H -6.468 0.512 -8.367
H -7.880 -0.512 -2.285
H -0.743 -0.512 -3.796
C -0.217 -2.045 -8.030
C -5.581 -2.045 -10.215
C -6.993 2.045 -4.133
C -1.629 2.045 -1.949
C -1.476 -2.808 -10.754
C -4.323 -2.808 -7.491
C -5.735 2.808 -1.410
C -2.888 2.808 -4.672
C 0.322 -0.311 -10.517
C -6.120 -0.311 -7.728
C -7.532 0.311 -1.647
C -1.090 0.311 -4.435
```

Values from the calculation:
Its crystal system is monoclinic. Its space group is C2/c. The formation energy is -0.22 eV/atom.

Record 2
K4HfC8O21: relaxed, PBE.

Cell and atoms, written as extended XYZ:
```
136
Lattice="-10.167 -1.047 -3.782 2.595 -11.266 -3.857 -3.509 -5.742 14.409" Properties=species:S:1:pos:R:3 pbc="T T T"
K -3.351 -6.130 9.985
K -10.019 -12.478 4.783
K -7.731 -11.925 -3.215
K -1.062 -5.578 1.986
K 0.424 -3.048 -0.883
K -9.691 -12.396 0.359
K -11.505 -15.008 7.652
K -1.391 -5.660 6.410
K -6.948 -10.146 7.882
K -4.884 -15.139 4.599
K -4.133 -7.909 -1.113
K -6.198 -2.917 2.170
K -6.863 -7.413 11.200
K -6.485 -11.294 3.533
K -4.219 -10.642 -4.431
K -4.597 -6.762 3.236
Hf -9.710 -6.356 6.260
Hf -3.646 -12.314 8.486
Hf -1.371 -11.699 0.510
Hf -7.436 -5.741 -1.717
C -9.754 -6.572 9.377
C -3.941 -10.626 5.873
C -1.327 -11.483 -2.608
C -7.141 -7.430 0.896
C -11.141 -7.078 8.905
C -2.417 -10.715 6.142
C 0.060 -10.977 -2.135
C -8.664 -7.340 0.628
C -7.024 -5.288 5.213
C -6.368 -13.227 9.586
C -4.057 -12.767 1.556
C -4.714 -4.829 -2.817
C -7.908 -5.494 3.928
C -1.800 -8.034 -3.796
C -3.173 -12.562 2.841
C -9.282 -10.021 10.565
C -9.235 -15.522 1.625
C -2.439 -10.445 10.623
C -1.846 -2.533 5.144
C -8.642 -7.611 -3.853
C -8.263 -14.773 2.574
C -3.747 -9.741 10.171
C -2.818 -3.282 4.195
C -7.335 -8.314 -3.402
C -10.387 -9.090 5.030
C -1.789 -14.705 7.961
C -0.695 -8.966 1.739
C -9.293 -3.351 -1.192
C -8.965 -9.248 5.612
C -3.098 -15.037 7.212
C -2.117 -8.807 1.157
C -7.984 -3.019 -0.443
O -8.959 -6.282 8.417
O -4.649 -11.295 6.704
O -2.122 -11.774 -1.647
O -6.433 -6.761 0.065
O -11.215 -7.161 7.616
O -2.144 -11.499 7.133
O 0.133 -10.894 -0.847
O -8.938 -6.557 -0.364
O -12.044 -7.378 9.700
O -1.585 -10.107 5.452
O 0.962 -10.677 -2.931
O -9.496 -7.949 1.317
O -9.510 -6.506 10.608
O -4.354 -9.955 4.895
O -1.571 -11.549 -3.838
O -6.727 -8.101 1.874
O -7.631 -5.582 6.303
O -5.847 -12.559 8.624
O -3.451 -12.473 0.467
O -5.235 -5.497 -1.855
O -9.084 -5.942 4.221
O -4.104 -13.459 10.274
O -1.997 -12.114 2.548
O -6.978 -4.596 -3.505
O -7.457 -5.247 2.804
O -2.156 -8.695 -2.814
O -3.625 -12.808 3.965
O -8.925 -9.360 9.583
O -5.850 -4.879 5.079
O -7.578 -13.477 9.774
O -5.231 -13.176 1.690
O -3.503 -4.578 -3.005
O -11.516 -5.512 5.345
O -2.213 -11.540 9.955
O 0.434 -12.543 1.425
O -8.869 -6.515 -3.186
O -7.324 -15.536 3.037
O -4.362 -10.380 9.228
O -3.757 -2.520 3.732
O -6.719 -7.675 -2.459
O -8.415 -13.567 2.844
O -4.119 -8.668 10.682
O -2.666 -4.489 3.925
O -6.962 -9.387 -3.912
O -0.026 -13.915 4.868
O -11.884 -11.034 7.728
O -11.056 -4.140 1.901
O 0.802 -7.022 -0.959
O -10.820 -7.870 5.100
O -1.884 -13.629 8.677
O -0.262 -10.186 1.669
O -9.197 -4.427 -1.908
O -8.551 -8.205 6.257
O -3.972 -14.082 7.251
O -2.530 -9.851 0.512
O -7.110 -3.973 -0.482
O -8.322 -10.308 5.479
O -3.247 -16.119 6.611
O -2.759 -7.747 1.291
O -7.835 -1.936 0.158
O -11.017 -10.047 4.577
O -0.777 -15.401 7.849
O -0.064 -8.008 2.192
O -10.304 -2.655 -1.079
O -1.800 -0.826 -0.922
O -8.539 -9.968 1.990
O -9.282 -17.229 7.691
O -2.543 -8.087 4.779
O -3.921 -7.554 7.453
O -8.599 -14.744 6.051
O -7.160 -10.501 -0.684
O -2.482 -3.311 0.718
O -4.469 -4.823 7.062
O -9.124 -12.821 8.036
O -6.613 -13.233 -0.293
O -1.958 -5.235 -1.267
O -5.100 -7.498 7.833
O -7.600 -14.018 5.939
O -5.981 -10.558 -1.064
O -3.481 -4.038 0.830
O -5.770 -8.345 5.366
O -6.325 -15.798 7.506
O -5.311 -9.711 1.403
O -4.756 -2.258 -0.737
```

Values from the calculation:
For the energy relative to the lowest polymorph listed for this composition, the calculation gives 148 meV per atom. Its crystal system is monoclinic. Its space group is P2_1/c. The formation energy is -1.25 eV/atom.

Record 3
K4HfC8O21: relaxed, PBE.

Cell and atoms, written as extended XYZ:
```
136
Lattice="10.909 0.000 -0.551 0.000 12.350 0.000 0.378 0.000 16.026" Properties=species:S:1:pos:R:3 pbc="T T T"
K 1.437 1.836 11.971
K 10.039 8.011 11.516
K 9.850 10.514 3.504
K 1.248 4.339 3.958
K 10.845 3.395 -0.494
K 0.253 9.570 7.956
K 0.442 8.955 15.969
K 11.034 2.780 7.518
K 6.130 5.605 12.770
K 5.346 11.780 10.717
K 5.157 6.745 2.705
K 5.941 0.570 4.757
K 4.716 1.906 14.483
K 6.759 8.081 9.005
K 6.571 10.444 0.992
K 4.528 4.269 6.470
Hf 8.534 1.870 10.429
Hf 2.942 8.045 13.058
Hf 2.753 10.480 5.046
Hf 8.345 4.305 2.416
C 7.764 1.139 13.323
C 3.711 7.314 10.164
C 3.523 11.211 2.152
C 7.575 5.036 5.310
C 9.283 1.461 13.366
C 2.193 7.636 10.121
C 2.004 10.889 2.109
C 9.094 4.714 5.353
C 6.128 1.823 8.464
C 5.348 7.998 15.023
C 5.159 10.527 7.011
C 5.939 4.352 0.451
C 7.364 2.175 7.566
C 3.734 8.350 -0.104
C 3.923 10.175 7.909
C 7.553 4.000 15.579
C 10.515 12.054 9.475
C 0.960 5.879 14.013
C 0.772 0.296 6.000
C 10.327 6.471 1.462
C 9.214 11.260 9.801
C 2.262 5.085 13.686
C 2.073 1.090 5.673
C 9.025 7.265 1.788
C 9.901 4.651 10.425
C 1.575 10.826 13.062
C 1.386 7.698 5.049
C 9.712 1.524 2.412
C 8.394 4.935 10.634
C 3.082 11.110 12.853
C 2.893 7.415 4.840
C 8.205 1.240 2.621
O 7.248 1.330 12.144
O 4.227 7.505 11.343
O 4.039 11.020 3.331
O 7.060 4.845 4.131
O 9.737 1.812 12.193
O 1.738 7.987 11.294
O 1.550 10.538 3.281
O 9.549 4.363 4.180
O 9.946 1.398 14.401
O 1.530 7.573 9.086
O 1.341 10.952 1.073
O 9.757 4.777 6.389
O 7.143 0.749 14.326
O 4.333 6.924 9.162
O 4.144 11.601 1.149
O 6.954 5.426 6.313
O 6.420 1.627 9.692
O 5.056 7.802 13.795
O 4.867 10.723 5.782
O 6.231 4.548 1.679
O 8.446 2.252 8.256
O 3.029 8.427 15.231
O 2.841 10.098 7.218
O 8.258 3.923 0.244
O 7.226 2.339 6.345
O 3.872 8.514 1.116
O 4.061 10.011 9.129
O 7.414 3.836 14.358
O 4.995 1.762 7.933
O 6.480 7.937 15.554
O 6.291 10.587 7.542
O 4.807 4.413 -0.080
O 10.376 0.981 9.655
O 1.100 7.156 13.832
O 0.911 11.369 5.819
O 10.187 5.194 1.643
O 8.257 12.030 10.211
O 3.218 5.855 13.276
O 3.030 0.320 5.264
O 8.068 6.495 2.198
O 9.160 10.021 9.669
O 2.316 3.846 13.818
O 2.127 2.329 5.806
O 8.971 8.504 1.656
O 0.642 11.503 9.638
O 10.834 5.328 13.849
O 10.645 0.847 5.836
O 0.453 7.022 1.625
O 10.134 3.410 10.134
O 1.342 9.585 13.353
O 1.153 8.940 5.341
O 9.945 2.765 2.121
O 7.681 3.863 10.772
O 3.795 10.038 12.715
O 3.606 8.487 4.702
O 7.492 2.312 2.759
O 7.954 6.105 10.700
O 3.522 12.280 12.788
O 3.333 6.245 4.775
O 7.765 0.070 2.687
O 10.740 5.548 10.559
O 0.736 11.723 12.928
O 0.547 6.802 4.915
O 10.551 0.627 2.546
O 2.075 1.251 0.214
O 9.023 7.426 7.248
O 9.212 11.099 15.260
O 2.264 4.924 8.227
O 2.056 4.565 9.393
O 9.419 10.740 14.094
O 9.231 7.785 6.081
O 1.867 1.610 1.380
O 2.991 1.331 9.258
O 8.485 7.506 14.229
O 8.296 11.019 6.216
O 2.802 4.844 1.245
O 4.335 3.518 11.247
O 7.141 9.693 12.240
O 6.952 8.832 4.228
O 4.146 2.657 3.234
O 4.784 4.133 10.272
O 6.692 10.307 13.215
O 6.503 8.217 5.202
O 4.595 2.042 2.259
```

Values from the calculation:
For the energy relative to the lowest polymorph listed for this composition, the calculation gives 0 meV per atom. Its crystal system is monoclinic. Its space group is P2_1/c. The formation energy is -1.39 eV/atom.